Entry 1:
This record from Materials Project describes a relaxed KNiN crystal. The functional is PBE.

a = 5.6615 Å, b = 3.2372 Å, c = 5.4923 Å
α = 90.00°, β = 111.01°, γ = 90.00°
Closest atoms and distances in Å follow each position.
Space group Cm (No. 8)
Unique sites:
K  0.0000  0.0000  0.0000 (multiplicity 2)  4 N 2.90-2.92, 4 Ni 3.09-3.22, 2 K 3.24
Ni  0.0005  0.5000  0.5199 (multiplicity 2)  3 N 1.89-1.90
N  0.1846  0.0000  0.5686 (multiplicity 2)  3 Ni 1.89-1.90

Values from the calculation:
E above lowest polymorph   68 kJ/mol of formula units
Calculated formation energy   162 meV/atom
Energy   -0.17616 Ha/atom



Entry 2:
This record from Materials Project describes a relaxed TiMn2P12 crystal. The functional is PBE.

a = 16.0502 Å, b = 5.8005 Å, c = 10.6515 Å
α = 90.00°, β = 115.20°, γ = 90.00°
Closest atoms and distances in Å follow each position.
Space group C2/c (No. 15)
Unique sites:
Ti  0.0000  0.1964  0.2500 (multiplicity 4)  8 P 2.55-2.71
Mn  0.1826  0.3102  0.0463 (multiplicity 8)  6 P 2.20-2.33
P  0.0330  0.4509  0.9277 (multiplicity 8)  2 P 2.27-2.28, 1 Mn 2.33
P  0.0619  0.1469  0.6667 (multiplicity 8)  3 P 2.22-2.31
P  0.1170  0.0493  0.5061 (multiplicity 8)  2 P 2.24-2.31, 1 Mn 2.29
P  0.1560  0.3237  0.2428 (multiplicity 8)  2 P 2.21-2.22, 1 Mn 2.31
P  0.1780  0.3273  0.8354 (multiplicity 8)  2 Mn 2.20-2.22, 2 P 2.21-2.22
P  0.2261  0.3214  0.5747 (multiplicity 8)  3 P 2.20-2.24, 1 Mn 2.23

Values from the calculation:
Calculated formation energy   -393 meV/atom
Energy   -0.23784 Ha/atom



Entry 3:
This record from Materials Project describes a relaxed Na2AgRuF6 crystal. The functional is PBE.

a = 8.7077 Å, b = 8.7077 Å, c = 8.7077 Å
α = 90.00°, β = 90.00°, γ = 90.00°
Closest atoms and distances in Å follow each position.
Space group Fm-3m (No. 225)
Unique sites:
Na  0.2500  0.2500  0.2500 (multiplicity 8)  12 F 3.08
Ag  0.0000  0.0000  0.0000 (multiplicity 4)  6 F 2.34
Ru  0.0000  0.0000  0.5000 (multiplicity 4)  6 F 2.02
F  0.0000  0.0000  0.2682 (multiplicity 24)  1 Ru 2.02

Values from the calculation:
Calculated formation energy   -2054 meV/atom
Energy   -0.16173 Ha/atom



Entry 4:
This record from Materials Project describes a relaxed Cu2Se2NO10 crystal. The functional is PBE.

a = 9.6032 Å, b = 6.0868 Å, c = 8.3182 Å
α = 90.00°, β = 120.01°, γ = 90.00°
Closest atoms and distances in Å follow each position.
Space group C2/m (No. 12)
Unique sites:
Cu  0.2500  0.2500  0.0000 (multiplicity 4)  4 O 1.80-1.90
Se  0.0723  0.0000  0.2808 (multiplicity 4)  4 O 1.63-1.74
N  0.0000  0.5000  0.5000 (multiplicity 2)  6 O 2.68-3.00
O  0.0466  0.2345  0.7803 (multiplicity 8)  1 Se 1.74, 1 Cu 1.90
O  0.1708  0.0000  0.1629 (multiplicity 4)  1 Se 1.67
O  0.1831  0.5000  0.0564 (multiplicity 4)  2 Cu 1.80
O  0.1848  0.0000  0.5056 (multiplicity 4)  1 Se 1.63

Values from the calculation:
Calculated formation energy   -325 meV/atom
Energy   -0.17398 Ha/atom



Entry 5:
This record from Materials Project describes a relaxed Sc2OsPt crystal. The functional is PBE.

a = 6.5056 Å, b = 6.5056 Å, c = 6.5056 Å
α = 90.00°, β = 90.00°, γ = 90.00°
Closest atoms and distances in Å follow each position.
Space group Fm-3m (No. 225)
Unique sites:
Sc  0.2500  0.2500  0.2500 (multiplicity 8)  4 Os 2.82, 4 Pt 2.82
Os  0.0000  0.0000  0.0000 (multiplicity 4)  8 Sc 2.82
Pt  0.0000  0.0000  0.5000 (multiplicity 4)  8 Sc 2.82

Values from the calculation:
Calculated formation energy   -837 meV/atom
Energy   -0.30606 Ha/atom



Entry 6:
This record from Materials Project describes a relaxed SiO2 crystal. The functional is PBE.

a = 5.1240 Å, b = 8.7975 Å, c = 8.5330 Å
α = 90.00°, β = 91.58°, γ = 90.00°
Closest atoms and distances in Å follow each position.
Space group Cc (No. 9)
Unique sites:
Si  0.0000  0.1409  0.0000 (multiplicity 4)  4 O 1.62-1.63
Si  0.4993  0.3068  0.8744 (multiplicity 4)  4 O 1.62-1.63
O  0.0130  0.1680  0.1873 (multiplicity 4)  2 Si 1.62
O  0.0700  0.0362  0.4666 (multiplicity 4)  2 Si 1.63
O  0.2070  0.2515  0.9155 (multiplicity 4)  2 Si 1.62
O  0.2089  0.3230  0.4287 (multiplicity 4)  2 Si 1.63

Values from the calculation:
Largest piezoelectric modulus   0.178 C/m2
Calculated formation energy   -3264 meV/atom
Energy   -0.29079 Ha/atom



Entry 7:
This record from Materials Project describes a relaxed Sm4MgRu crystal. The functional is PBE.

a = 13.9576 Å, b = 13.9576 Å, c = 13.9576 Å
α = 90.00°, β = 90.00°, γ = 90.00°
Closest atoms and distances in Å follow each position.
Space group F-43m (No. 216)
Unique sites:
Sm  0.0000  0.0000  0.1875 (multiplicity 24)  2 Mg 3.39, 2 Ru 3.57, 10 Sm 3.57-3.70
Sm  0.0623  0.2500  0.7500 (multiplicity 24)  2 Ru 2.82
Sm  0.0932  0.0932  0.4068 (multiplicity 16)  3 Ru 2.88
Mg  0.1712  0.1712  0.1712 (multiplicity 16)  3 Mg 3.11, 3 Sm 3.39
Ru  0.1117  0.1117  0.6117 (multiplicity 16)  6 Sm 2.82-2.88

Values from the calculation:
Calculated formation energy   -204 meV/atom
Energy   -0.18971 Ha/atom



Entry 8:
This record from Materials Project describes a relaxed Li3YF6 crystal. The functional is PBE.

a = 8.2952 Å, b = 8.2952 Å, c = 8.2952 Å
α = 90.00°, β = 90.00°, γ = 90.00°
Closest atoms and distances in Å follow each position.
Space group Fm-3m (No. 225)
Unique sites:
Li  0.0000  0.0000  0.0000 (multiplicity 4)  6 F 1.99
Li  0.2500  0.2500  0.2500 (multiplicity 8)  12 F 2.93
Y  0.0000  0.0000  0.5000 (multiplicity 4)  6 F 2.15
F  0.0000  0.0000  0.2404 (multiplicity 24)  1 Li 1.99, 1 Y 2.15

Values from the calculation:
Calculated formation energy   -3326 meV/atom
Energy   -0.19907 Ha/atom



Entry 9:
This record from Materials Project describes a relaxed NaB3H8 crystal. The functional is PBE.

a = 8.1508 Å, b = 5.7501 Å, c = 4.6848 Å
α = 90.00°, β = 90.00°, γ = 90.00°
Closest atoms and distances in Å follow each position.
Space group Pmn2_1 (No. 31)
Unique sites:
Na  0.0000  0.0491  0.0000 (multiplicity 2)  5 H 2.24-2.41
B  0.0000  0.4999  0.6032 (multiplicity 2)  2 H 1.21
B  0.1091  0.7572  0.5057 (multiplicity 4)  3 H 1.21-1.27
H  0.0000  0.3343  0.4428 (multiplicity 2)  1 B 1.21
H  0.0000  0.4520  0.8548 (multiplicity 2)  1 B 1.21
H  0.1650  0.7860  0.2688 (multiplicity 4)  1 B 1.21
H  0.1699  0.5598  0.5696 (multiplicity 4)  1 B 1.27
H  0.1709  0.8801  0.6867 (multiplicity 4)  1 B 1.21

Values from the calculation:
E above lowest polymorph   0 kJ/mol of formula units
Calculated formation energy   -295 meV/atom
Energy   -0.15501 Ha/atom



Entry 10:
This record from Materials Project describes a relaxed CuBi2O4 crystal. The functional is PBE.

a = 3.9721 Å, b = 3.9721 Å, c = 12.5311 Å
α = 90.00°, β = 90.00°, γ = 90.00°
Closest atoms and distances in Å follow each position.
Space group I4/mmm (No. 139)
Unique sites:
Cu  0.0000  0.0000  0.0000 (multiplicity 2)  4 O 1.99
Bi  0.0000  0.0000  0.3520 (multiplicity 4)  4 O 2.36
O  0.0000  0.5000  0.0000 (multiplicity 4)  2 Cu 1.99
O  0.0000  0.5000  0.2500 (multiplicity 4)  4 Bi 2.36

Values from the calculation:
E above lowest polymorph   51 kJ/mol of formula units
Calculated formation energy   -1375 meV/atom
Energy   -0.20238 Ha/atom



Entry 11:
This record from Materials Project describes a relaxed Ba2SbN3 crystal. The functional is PBE.

a = 6.1891 Å, b = 12.2263 Å, c = 13.2239 Å
α = 90.00°, β = 90.03°, γ = 90.00°
Closest atoms and distances in Å follow each position.
Space group C2/c (No. 15)
Unique sites:
Ba  0.2502  0.1153  0.0766 (multiplicity 8)  6 N 2.80-3.13
Ba  0.2501  0.2035  0.6428 (multiplicity 8)  3 N 2.78-2.88
Sb  0.2497  0.0042  0.8367 (multiplicity 8)  4 N 2.01-2.06
N  0.0000  0.0559  0.2500 (multiplicity 4)  2 Sb 2.06
N  0.0000  0.4450  0.7500 (multiplicity 4)  2 Sb 2.06
N  0.2490  0.1669  0.8580 (multiplicity 8)  1 Sb 2.01
N  0.2503  0.0954  0.4578 (multiplicity 8)  1 Sb 2.01

Values from the calculation:
Calculated formation energy   -491 meV/atom
Energy   -0.21339 Ha/atom



Entry 12:
This record from Materials Project describes a relaxed Mg23Al30 crystal. The functional is PBE.

a = 12.7932 Å, b = 12.7932 Å, c = 21.6622 Å
α = 90.00°, β = 90.00°, γ = 120.00°
Closest atoms and distances in Å follow each position.
Space group R-3 (No. 148, hexagonal axes)
Unique sites:
Mg  0.0000  0.0000  0.0000 (multiplicity 3)  6 Mg 3.11, 6 Al 3.24
Mg  0.0000  0.0000  0.1619 (multiplicity 6)  6 Al 2.88-2.99, 3 Mg 3.19
Mg  0.0000  0.0000  0.4228 (multiplicity 6)  12 Al 3.11-3.25, 4 Mg 3.29-3.34
Mg  0.0303  0.7693  0.8180 (multiplicity 18)  9 Al 2.95-3.27, 5 Mg 3.10-3.26
Mg  0.0435  0.7806  0.3753 (multiplicity 18)  11 Al 3.07-3.27, 4 Mg 3.13-3.29
Mg  0.0649  0.5568  0.6264 (multiplicity 18)  6 Al 2.84-3.10, 2 Mg 3.11-3.13
Al  0.0164  0.8841  0.7019 (multiplicity 18)  5 Al 2.65-2.78, 1 Mg 2.96
Al  0.0319  0.8128  0.2279 (multiplicity 18)  5 Al 2.72-2.92, 4 Mg 2.95-3.03
Al  0.0356  0.7698  0.6045 (multiplicity 18)  5 Al 2.65-2.78
Al  0.0735  0.8520  0.0955 (multiplicity 18)  3 Al 2.73-2.92, 4 Mg 2.84-3.00
Al  0.0894  0.2368  0.5018 (multiplicity 18)  6 Al 2.65-2.78

Values from the calculation:
Calculated formation energy   -23 meV/atom
Energy   -0.10429 Ha/atom



Entry 13:
This record from Materials Project describes a relaxed BeH8SO8 crystal. The functional is PBE.

a = 8.0106 Å, b = 8.0106 Å, c = 11.0260 Å
α = 90.00°, β = 90.00°, γ = 90.00°
Closest atoms and distances in Å follow each position.
Space group I-4c2 (No. 120)
Unique sites:
Be  0.0000  0.0000  0.0000 (multiplicity 4)  4 O 1.62
H  0.0396  0.2307  0.1181 (multiplicity 16)  1 O 1.01
H  0.1252  0.2165  0.3859 (multiplicity 16)  1 O 1.00
S  0.0000  0.5000  0.2500 (multiplicity 4)  4 O 1.49
O  0.0844  0.3714  0.6735 (multiplicity 16)  1 S 1.49, 1 H 1.62
O  0.1035  0.1379  0.0776 (multiplicity 16)  2 H 1.00-1.01

Values from the calculation:
E above lowest polymorph   0 kJ/mol of formula units
Largest piezoelectric modulus   0.170 C/m2
Calculated formation energy   -1639 meV/atom
Energy   -0.20132 Ha/atom



Entry 14:
This record from Materials Project describes a relaxed Ba6ZrO8 crystal. The functional is PBE.

a = 10.9060 Å, b = 10.9060 Å, c = 10.9060 Å
α = 90.00°, β = 90.00°, γ = 90.00°
Closest atoms and distances in Å follow each position.
Space group Fm-3m (No. 225)
Unique sites:
Ba  0.0000  0.2500  0.2500 (multiplicity 24)  6 O 2.73-2.78
Zr  0.0000  0.0000  0.0000 (multiplicity 4)  6 O 2.19
O  0.0000  0.0000  0.2010 (multiplicity 24)  1 Zr 2.19
O  0.2500  0.2500  0.2500 (multiplicity 8)  6 Ba 2.73

Values from the calculation:
Calculated formation energy   -3059 meV/atom
Energy   -0.24508 Ha/atom



Entry 15:
This record from Materials Project describes a relaxed Ga4O5 crystal. The functional is PBE.

a = 8.9020 Å, b = 9.7560 Å, c = 9.9447 Å
α = 90.00°, β = 90.00°, γ = 90.00°
Closest atoms and distances in Å follow each position.
Space group Fddd (No. 70, origin choice 2)
Unique sites:
Ga  0.0059  0.2913  0.0499 (multiplicity 32)  4 O 1.94-2.11
O  0.0507  0.0097  0.3846 (multiplicity 32)  3 Ga 1.94-2.11
O  0.1250  0.1250  0.1250 (multiplicity 8)  4 Ga 2.08

Values from the calculation:
Calculated formation energy   -1578 meV/atom
Energy   -0.19444 Ha/atom